(1)
VASP calculation (PBE) on an optimized crystal structure of Al2CoRu.

Geometry as extended XYZ:
```
4
Lattice="0.0000 2.9421 2.9421 2.9421 0.0000 2.9421 2.9421 2.9421 0.0000" Properties=species:S:1:pos:R:3 pbc="T T T"
Al 1.4711 1.4711 1.4711
Al 4.4132 4.4132 4.4132
Co 0.0000 0.0000 0.0000
Ru 2.9421 2.9421 2.9421
```

Output
Its space group is Fm-3m, No. 225. The energy above the most stable polymorph in this dataset is 0 meV per atom. As for the crystal system: cubic.

(2)
VASP calculation (PBE) on an optimized crystal structure of Al2CoRu.

Geometry as extended XYZ:
```
4
Lattice="2.9527 0.0000 0.0000 0.0000 2.9527 0.0000 0.0000 0.0000 5.8556" Properties=species:S:1:pos:R:3 pbc="T T T"
Al 0.0000 0.0000 1.4191
Al 0.0000 0.0000 4.4365
Co 1.4763 1.4763 0.0000
Ru 1.4763 1.4763 2.9278
```

Output
Its space group is P4/mmm, No. 123. The energy above the most stable polymorph in this dataset is 19 meV per atom. As for the crystal system: tetragonal.

(3)
VASP calculation (PBE) on an optimized crystal structure of AlCo2S4.

Geometry as extended XYZ:
```
14
Lattice="-3.3593 3.4816 4.7159 3.3593 -3.4816 4.7159 3.3593 3.4816 -4.7159" Properties=species:S:1:pos:R:3 pbc="T T T"
Al 0.0000 0.0000 0.0000
Al 0.0000 3.4816 0.0000
Co 3.3593 0.0000 0.0000
Co -1.6796 1.7408 2.3580
Co 0.0000 0.0000 4.7159
Co 1.6796 1.7408 2.3580
S 1.7417 1.7408 0.1106
S 4.9768 1.7408 0.1106
S 3.3593 0.2320 2.3213
S 0.0000 0.2320 2.3946
S 3.3593 3.2496 2.3213
S 0.0000 3.2496 2.3946
S -1.6176 1.7408 4.6053
S 1.6176 1.7408 4.6053
```

Output
Its space group is Imma, No. 74. The energy above the most stable polymorph in this dataset is 91 meV per atom. As for the crystal system: orthorhombic.

(4)
VASP calculation (PBE) on an optimized crystal structure of AlCo2S4.

Geometry as extended XYZ:
```
14
Lattice="0.0000 4.8136 4.8136 4.8136 0.0000 4.8136 4.8136 4.8136 0.0000" Properties=species:S:1:pos:R:3 pbc="T T T"
Al 1.2034 1.2034 1.2034
Al 8.4237 8.4237 8.4237
Co 4.8136 2.4068 2.4068
Co 2.4068 4.8136 2.4068
Co 2.4068 2.4068 4.8136
Co 4.8136 4.8136 4.8136
S 2.5362 2.5362 2.5362
S 4.6841 4.6841 2.5362
S 4.6841 2.5362 4.6841
S 7.0909 4.9430 4.9430
S 2.5362 4.6841 4.6841
S 4.9430 7.0909 4.9430
S 4.9430 4.9430 7.0909
S 7.0909 7.0909 7.0909
```

Output
Its space group is Fd-3m, No. 227. The energy above the most stable polymorph in this dataset is 0 meV per atom. As for the crystal system: cubic.

(5)
VASP calculation (PBE) on an optimized crystal structure of Y3AlCoS7.

Geometry as extended XYZ:
```
24
Lattice="9.5811 0.0000 0.0000 -4.7906 8.2975 0.0000 0.0000 0.0000 6.1473" Properties=species:S:1:pos:R:3 pbc="T T T"
Y -0.3440 3.1037 0.0000
Y -1.9307 7.0436 0.0000
Y 2.5159 1.8497 3.0736
Y 2.2747 6.4478 0.0000
Y 6.7213 1.2539 3.0736
Y 5.1346 5.1938 3.0736
Al 0.0000 5.5317 2.6093
Al 4.7906 2.7658 5.6829
Co 0.0000 0.0000 2.1100
Co 0.0000 0.0000 5.1837
S -1.8813 4.7442 1.6652
S -0.1648 1.8455 3.6772
S -3.1099 7.5175 3.6772
S 1.5158 1.0655 0.6036
S 0.0000 5.5317 4.8513
S 1.6226 4.2962 1.6652
S 0.2587 7.5546 1.6652
S 4.5319 0.7429 4.7389
S 3.1680 4.0013 4.7389
S 4.7906 2.7658 1.7777
S 3.2747 7.2321 3.6772
S 7.9005 0.7800 0.6036
S 4.9554 6.4520 0.6036
S 6.6718 3.5533 4.7389
```

Output
Its space group is P6_3, No. 173. As for the total energy: -6.48 eV/atom. As for the crystal system: hexagonal.

(6)
VASP calculation (PBE) on an optimized crystal structure of ScAlCo.

Geometry as extended XYZ:
```
12
Lattice="8.1445 0.0000 0.0000 0.0000 2.5983 4.4086 0.0000 -2.5983 4.4086" Properties=species:S:1:pos:R:3 pbc="T T T"
Sc 1.4120 0.0000 0.0000
Sc 2.4028 0.0000 2.9747
Sc 5.7417 0.0000 2.9747
Sc 6.7325 0.0000 0.0000
Al 1.8776 0.0000 5.9689
Al 4.0722 -1.3232 5.1327
Al 4.0722 1.3232 5.1327
Al 6.2669 0.0000 5.9689
Co 0.0000 -1.2088 2.3056
Co 0.0000 1.2088 2.3056
Co 0.0000 0.0000 4.3801
Co 4.0722 0.0000 7.3751
```

Output
Its space group is Amm2, No. 38. As for the total energy: -6.21 eV/atom. As for the crystal system: orthorhombic.

(7)
VASP calculation (PBE) on an optimized crystal structure of Sc2AlCo3.

Geometry as extended XYZ:
```
6
Lattice="2.5487 1.4715 3.8005 -2.5487 1.4715 3.8005 0.0000 -2.9430 3.8005" Properties=species:S:1:pos:R:3 pbc="T T T"
Sc 0.0000 0.0000 1.4488
Sc 0.0000 0.0000 9.9528
Al 0.0000 0.0000 5.7008
Co -1.2744 -0.7358 3.8005
Co -1.2744 0.7357 7.6011
Co 0.0000 1.4715 3.8005
```

Output
Its space group is R-3m, No. 166. As for the total energy: -6.72 eV/atom. As for the crystal system: trigonal.

(8)
VASP calculation (PBE) on an optimized crystal structure of AlCo2Si2.

Geometry as extended XYZ:
```
5
Lattice="3.9304 0.0000 0.0000 -1.9652 3.4038 0.0000 0.0000 0.0000 4.6313" Properties=species:S:1:pos:R:3 pbc="T T T"
Al 0.0000 0.0000 0.0000
Co 0.0000 2.2692 3.8777
Co 1.9652 1.1346 0.7535
Si 0.0000 2.2692 1.6110
Si 1.9652 1.1346 3.0202
```

Output
Its space group is P-3m1, No. 164. As for the total energy: -6.30 eV/atom. As for the crystal system: trigonal.

(9)
VASP calculation (PBE) on an optimized crystal structure of Sm7Al7Co6.

Geometry as extended XYZ:
```
40
Lattice="13.6369 0.0000 0.0000 0.0000 13.6369 0.0000 0.0000 0.0000 4.1650" Properties=species:S:1:pos:R:3 pbc="T T T"
Sm 0.0000 0.0000 0.0000
Sm 0.6328 3.5784 0.0000
Sm 1.7925 8.6110 2.0825
Sm 3.2400 6.1857 0.0000
Sm 3.5784 13.0041 0.0000
Sm 5.0260 1.7925 2.0825
Sm 6.1857 10.3969 0.0000
Sm 6.8185 6.8185 0.0000
Sm 7.4513 3.2400 0.0000
Sm 8.6110 11.8444 2.0825
Sm 10.0585 0.6328 0.0000
Sm 10.3969 7.4513 0.0000
Sm 11.8444 5.0260 2.0825
Sm 13.0041 10.0585 0.0000
Al 0.0000 6.8185 0.0000
Al 1.3237 11.7486 2.0825
Al 1.8883 1.3237 2.0825
Al 2.9022 3.9162 2.0825
Al 3.9162 10.7347 2.0825
Al 4.9301 8.1421 2.0825
Al 5.4948 4.9301 2.0825
Al 6.8185 0.0000 0.0000
Al 8.1421 8.7068 2.0825
Al 8.7068 5.4948 2.0825
Al 9.7207 2.9022 2.0825
Al 10.7347 9.7207 2.0825
Al 11.7486 12.3133 2.0825
Al 12.3133 1.8883 2.0825
Co 1.0131 5.8053 2.0825
Co 2.2336 10.7382 0.0000
Co 2.8987 2.2336 0.0000
Co 3.9198 9.0521 0.0000
Co 4.5849 3.9198 0.0000
Co 5.8053 12.6238 2.0825
Co 7.8316 1.0131 2.0825
Co 9.0521 9.7171 0.0000
Co 9.7171 4.5849 0.0000
Co 10.7382 11.4033 0.0000
Co 11.4033 2.8987 0.0000
Co 12.6238 7.8316 2.0825
```

Output
Its space group is P4/mbm, No. 127. As for the total energy: -5.52 eV/atom. As for the crystal system: tetragonal.

(10)
VASP calculation (PBE) on an optimized crystal structure of SrAl9Co2.

Geometry as extended XYZ:
```
12
Lattice="7.9081 0.0000 0.0000 -3.9540 6.8486 0.0000 0.0000 0.0000 3.9129" Properties=species:S:1:pos:R:3 pbc="T T T"
Sr 0.0000 0.0000 0.0000
Al -1.9770 3.4243 0.0000
Al 0.0000 2.9337 1.9565
Al -1.4134 5.3818 1.9565
Al 2.5406 1.4668 1.9565
Al 3.9540 0.0000 0.0000
Al 1.9770 3.4243 0.0000
Al 1.4134 5.3818 1.9565
Al 5.3675 1.4668 1.9565
Al 3.9540 3.9149 1.9565
Co 0.0000 4.5657 0.0000
Co 3.9541 2.2829 0.0000
```

Output
Its space group is P6/mmm, No. 191. As for the total energy: -4.54 eV/atom. As for the crystal system: hexagonal.

(11)
VASP calculation (PBE) on an optimized crystal structure of ThAl2Co3.

Geometry as extended XYZ:
```
6
Lattice="2.6403 -4.2000 0.0000 2.6403 4.2000 0.0000 0.0000 0.0000 4.1257" Properties=species:S:1:pos:R:3 pbc="T T T"
Th 0.0000 0.0000 0.0000
Al 1.3201 2.1000 2.0629
Al 1.3201 -2.1000 2.0629
Co 2.6403 1.3816 0.0000
Co 2.6403 0.0000 2.0629
Co 2.6403 -1.3816 0.0000
```

Output
Its space group is Cmmm, No. 65. As for the total energy: -6.44 eV/atom. As for the crystal system: orthorhombic.

(12)
VASP calculation (PBE) on an optimized crystal structure of Ti2AlCo.

Geometry as extended XYZ:
```
4
Lattice="0.0000 3.0678 3.0678 3.0678 0.0000 3.0678 3.0678 3.0678 0.0000" Properties=species:S:1:pos:R:3 pbc="T T T"
Ti 0.0000 0.0000 0.0000
Ti 1.5339 1.5339 1.5339
Al 3.0678 3.0678 3.0678
Co 4.6018 4.6018 4.6018
```

Output
Its space group is F-43m, No. 216. As for the total energy: -6.93 eV/atom. As for the crystal system: cubic.

(13)
VASP calculation (PBE) on an optimized crystal structure of Ti6Al16Co7.

Geometry as extended XYZ:
```
29
Lattice="0.0000 5.8854 5.8854 5.8854 0.0000 5.8854 5.8854 5.8854 0.0000" Properties=species:S:1:pos:R:3 pbc="T T T"
Ti 5.8854 5.8854 2.2433
Ti 5.8854 2.2433 5.8854
Ti 9.5275 5.8854 5.8854
Ti 2.2433 5.8854 5.8854
Ti 5.8854 9.5275 5.8854
Ti 5.8854 5.8854 9.5275
Al 7.2836 4.4872 4.4872
Al 1.8882 1.8882 1.8882
Al 3.9972 3.9972 1.8882
Al 3.9972 1.8882 3.9972
Al 4.4872 4.4872 4.4872
Al 7.2836 7.2836 4.4872
Al 7.2836 4.4872 7.2836
Al 9.8825 7.7736 7.7736
Al 1.8882 3.9972 3.9972
Al 4.4872 7.2836 4.4872
Al 4.4872 4.4872 7.2836
Al 7.2836 7.2836 7.2836
Al 7.7736 9.8825 7.7736
Al 7.7736 7.7736 9.8825
Al 9.8825 9.8825 9.8825
Al 4.4872 7.2836 7.2836
Co 2.9427 2.9427 0.0000
Co 2.9427 0.0000 2.9427
Co 5.8854 2.9427 2.9427
Co 0.0000 2.9427 2.9427
Co 2.9427 5.8854 2.9427
Co 2.9427 2.9427 5.8854
Co 5.8854 5.8854 5.8854
```

Output
Its space group is Fm-3m, No. 225. As for the total energy: -5.93 eV/atom. As for the crystal system: cubic.

(14)
VASP calculation (PBE) on an optimized crystal structure of TiAlCo2.

Geometry as extended XYZ:
```
4
Lattice="2.9512 0.0000 0.0000 0.0000 2.9512 0.0000 0.0000 0.0000 5.7115" Properties=species:S:1:pos:R:3 pbc="T T T"
Ti 0.0000 0.0000 0.0000
Al 0.0000 0.0000 2.8557
Co 1.4756 1.4756 1.4240
Co 1.4756 1.4756 4.2875
```

Output
Its space group is P4/mmm, No. 123. As for the total energy: -7.00 eV/atom. As for the crystal system: tetragonal.

(15)
VASP calculation (PBE) on an optimized crystal structure of Ti13Al9Co8.

Geometry as extended XYZ:
```
30
Lattice="4.2248 2.4392 6.9371 -4.2248 2.4392 6.9371 0.0000 -4.8783 6.9371" Properties=species:S:1:pos:R:3 pbc="T T T"
Ti 0.0000 0.0000 0.0000
Ti 0.0000 -2.3416 3.3357
Ti -2.0279 1.1708 3.3357
Ti -1.5433 -0.8910 7.0762
Ti -1.7352 -1.0018 14.3179
Ti 0.0000 -1.8916 11.4341
Ti -1.6382 0.9458 11.4341
Ti 1.5433 -0.8910 7.0762
Ti 0.0000 1.7821 7.0762
Ti 2.0279 1.1708 3.3358
Ti 1.6382 0.9458 11.4341
Ti 1.7352 -1.0018 14.3178
Ti 0.0000 2.0036 14.3178
Al -2.7215 -1.5712 11.7962
Al 0.0000 0.0000 4.9654
Al 0.0000 -2.5703 8.6229
Al -2.2259 1.2851 8.6229
Al 0.0000 0.0000 9.3768
Al 2.2259 1.2851 8.6229
Al 0.0000 0.0000 16.2052
Al 2.7215 -1.5712 11.7962
Al 0.0000 3.1425 11.7962
Co -2.1407 -1.2359 9.4520
Co 0.0000 -2.4527 5.9727
Co -2.1241 1.2263 5.9727
Co 0.0000 0.0000 2.5159
Co 2.1241 1.2263 5.9727
Co 2.1407 -1.2359 9.4520
Co 0.0000 2.4719 9.4520
Co 0.0000 0.0000 12.9704
```

Output
Its space group is R3m, No. 160. As for the total energy: -6.96 eV/atom. As for the crystal system: trigonal.

(16)
VASP calculation (PBE) on an optimized crystal structure of TmAlCo.

Geometry as extended XYZ:
```
12
Lattice="8.3780 0.0000 0.0000 0.0000 2.6839 4.5651 0.0000 -2.6839 4.5651" Properties=species:S:1:pos:R:3 pbc="T T T"
Tm 1.4692 0.0000 0.0000
Tm 2.4842 0.0000 6.0578
Tm 5.8938 0.0000 6.0578
Tm 6.9088 0.0000 0.0000
Al 1.9206 0.0000 2.9752
Al 4.1890 -1.3565 3.8061
Al 4.1890 1.3565 3.8061
Al 6.4574 0.0000 2.9752
Co 0.0000 0.0000 4.6004
Co 0.0000 -1.2581 6.7449
Co 0.0000 1.2581 6.7449
Co 4.1890 0.0000 1.4907
```

Output
Its space group is Amm2, No. 38. As for the total energy: -5.52 eV/atom. As for the crystal system: orthorhombic.

(17)
VASP calculation (PBE) on an optimized crystal structure of TmAlCo4.

Geometry as extended XYZ:
```
6
Lattice="5.0184 0.0000 0.0000 -2.5092 4.3461 0.0000 0.0000 0.0000 3.8924" Properties=species:S:1:pos:R:3 pbc="T T T"
Tm 0.0000 0.0000 0.0000
Al 0.0000 2.8974 0.0000
Co 2.5092 0.0262 1.9462
Co 1.2773 2.1599 1.9462
Co 2.5092 1.4487 0.0000
Co 3.7411 2.1599 1.9462
```

Output
Its space group is P-6m2, No. 187. As for the total energy: -6.38 eV/atom. As for the crystal system: hexagonal.

(18)
VASP calculation (PBE) on an optimized crystal structure of UAl4Co.

Geometry as extended XYZ:
```
18
Lattice="9.1038 0.0000 0.0000 -4.5519 7.8841 0.0000 0.0000 0.0000 4.0949" Properties=species:S:1:pos:R:3 pbc="T T T"
U -1.8630 3.2268 0.0000
U 3.7260 0.0000 0.0000
U 2.6889 4.6574 0.0000
Al -0.7712 1.3358 2.0475
Al -3.3755 5.8465 0.0000
Al 1.5424 0.0000 2.0475
Al -1.5332 5.5425 2.0475
Al 1.1764 2.0376 0.0000
Al 0.5185 3.7851 2.0475
Al 3.0188 2.3416 2.0475
Al 1.0146 6.4406 2.0475
Al 5.5666 1.4435 2.0475
Al 6.7510 0.0000 0.0000
Al 5.0704 4.0990 2.0475
Al 3.7807 6.5484 2.0475
Co 0.0000 0.0000 0.0000
Co 0.0000 5.2561 0.0000
Co 4.5519 2.6280 0.0000
```

Output
Its space group is P-62m, No. 189. As for the total energy: -5.88 eV/atom. As for the crystal system: hexagonal.

(19)
VASP calculation (PBE) on an optimized crystal structure of Y2Al9Co3.

Geometry as extended XYZ:
```
28
Lattice="6.3686 -3.7306 0.0000 6.3686 3.7306 0.0000 0.0000 0.0000 9.3327" Properties=species:S:1:pos:R:3 pbc="T T T"
Y 4.3222 2.4812 6.9995
Y 8.4150 2.4812 6.9995
Y 4.3222 -2.4812 2.3332
Y 8.4150 -2.4812 2.3332
Al 2.1455 1.2439 5.3271
Al 2.1455 1.2439 8.6720
Al 6.3686 2.7979 2.3332
Al 6.3686 1.2518 5.0583
Al 6.3686 1.2518 8.9408
Al 2.1455 -1.2439 0.6607
Al 2.1455 -1.2439 4.0056
Al 5.0014 0.4032 2.3332
Al 5.0014 -0.4032 6.9995
Al 7.7358 0.4032 2.3332
Al 7.7358 -0.4032 6.9995
Al 10.5917 1.2439 5.3271
Al 10.5917 1.2439 8.6720
Al 6.3686 -1.2518 0.3919
Al 6.3686 -1.2518 4.2744
Al 6.3686 -2.7979 6.9995
Al 10.5917 -1.2439 0.6607
Al 10.5917 -1.2439 4.0056
Co 0.0000 0.0000 0.0000
Co 0.0000 0.0000 4.6664
Co 4.1925 0.0000 0.0000
Co 4.1925 0.0000 4.6664
Co 8.5447 0.0000 0.0000
Co 8.5447 0.0000 4.6664
```

Output
Its space group is Cmcm, No. 63. As for the total energy: -5.42 eV/atom. As for the crystal system: orthorhombic.